The following is a PBE calculation of a geometry-optimized Na15Ca7Ta5P18O72 structure, from the Materials Project database.

Cell: 9.211 9.183 22.521 Å, 89.94 90.03 120.02°
Fractional positions:
Na 0.981 0.643 0.242
Na 0.667 0.654 0.749
Na 0.988 0.333 0.750
Na 0.345 0.012 0.751
Na 0.295 0.338 0.582
Na 0.046 0.706 0.582
Na 0.658 0.957 0.582
Na 0.651 0.674 0.076
Na 0.314 0.010 0.407
Na 0.982 0.999 0.494
Na 0.018 0.015 0.989
Na 0.668 0.334 0.835
Na 0.660 0.326 0.324
Na 0.327 0.670 0.157
Na 0.333 0.667 0.663
Ca 0.994 0.005 0.352
Ca 0.999 0.999 0.853
Ca 0.000 0.000 0.651
Ca 0.667 0.333 0.684
Ca 0.661 0.321 0.186
Ca 0.326 0.667 0.019
Ca 0.335 0.664 0.512
Ta 0.003 0.008 0.147
Ta 0.666 0.329 0.983
Ta 0.671 0.338 0.477
Ta 0.338 0.663 0.314
Ta 0.332 0.666 0.825
P 0.286 0.984 0.254
P 0.702 0.715 0.250
P 0.017 0.305 0.251
P 0.305 0.317 0.750
P 0.013 0.695 0.749
P 0.682 0.987 0.750
P 0.958 0.327 0.581
P 0.369 0.042 0.580
P 0.673 0.631 0.582
P 0.955 0.637 0.088
P 0.683 0.044 0.085
P 0.368 0.320 0.085
P 0.626 0.652 0.924
P 0.025 0.373 0.922
P 0.348 0.976 0.921
P 0.625 0.973 0.419
P 0.348 0.374 0.418
P 0.031 0.653 0.417
O 0.213 0.996 0.312
O 0.810 0.792 0.303
O 0.992 0.209 0.307
O 0.207 0.184 0.796
O 0.977 0.791 0.796
O 0.814 0.023 0.796
O 0.735 0.948 0.689
O 0.213 0.265 0.689
O 0.051 0.788 0.689
O 0.793 0.833 0.193
O 0.034 0.202 0.196
O 0.158 0.963 0.201
O 0.880 0.335 0.639
O 0.458 0.124 0.637
O 0.667 0.546 0.640
O 0.879 0.550 0.146
O 0.659 0.116 0.141
O 0.473 0.349 0.139
O 0.466 0.294 0.030
O 0.826 0.529 0.035
O 0.700 0.164 0.030
O 0.484 0.157 0.525
O 0.672 0.512 0.528
O 0.841 0.329 0.527
O 0.555 0.669 0.982
O 0.123 0.448 0.977
O 0.330 0.881 0.977
O 0.554 0.892 0.478
O 0.329 0.438 0.478
O 0.121 0.673 0.475
O 0.136 0.634 0.363
O 0.494 0.860 0.367
O 0.362 0.500 0.366
O 0.129 0.496 0.866
O 0.364 0.871 0.866
O 0.497 0.636 0.871
O 0.010 0.805 0.408
O 0.800 0.005 0.411
O 0.210 0.195 0.409
O 0.988 0.196 0.910
O 0.208 0.013 0.910
O 0.801 0.795 0.911
O 0.959 0.161 0.574
O 0.200 0.038 0.573
O 0.838 0.799 0.574
O 0.954 0.812 0.089
O 0.859 0.045 0.089
O 0.192 0.149 0.092
O 0.642 0.131 0.749
O 0.488 0.355 0.749
O 0.868 0.511 0.749
O 0.670 0.538 0.242
O 0.884 0.354 0.242
O 0.464 0.126 0.246
O 0.628 0.479 0.925
O 0.853 0.375 0.925
O 0.523 0.149 0.923
O 0.622 0.146 0.417
O 0.521 0.372 0.418
O 0.853 0.486 0.419
O 0.339 0.466 0.076
O 0.132 0.671 0.080
O 0.549 0.862 0.076
O 0.347 0.865 0.578
O 0.518 0.652 0.578
O 0.134 0.482 0.578
O 0.285 0.807 0.256
O 0.525 0.708 0.259
O 0.193 0.480 0.256
O 0.311 0.490 0.765
O 0.181 0.691 0.764
O 0.511 0.818 0.765

Calculated values
VASP energy: -7.14 eV per atom
calculated volume: 1649 Å³/cell
symmetry: No. 1
ΔH_f (0 K): -2.892 eV per atom